# 1
First-principles (GGA+U) data for a relaxed structure of YEr3V4O16, as listed in the Materials Project.

## Properties
Energy of formation = -3.21 eV per atom
Corrected total energy (MP2020 scheme) = -0.32560 Ha/atom

Cell lengths 6.3333, 10.1485, 10.1512 Å; angles 90.00, 90.00, 90.00 degrees
With the nearest neighbours (Å) after each atom.
Space group C222 (No. 21)
Unique sites:
Y: 0.0000 0.0000 0.0000 [2 per cell]  8 O 2.32-2.46
Er: 0.0000 0.5000 0.5000 [2 per cell]  8 O 2.29-2.45
Er: 0.2500 0.2500 0.2509 [4 per cell]  8 O 2.30-2.45
V: 0.0000 0.0000 0.5000 [2 per cell]  4 O 1.74
V: 0.0000 0.5000 0.0000 [2 per cell]  4 O 1.74
V: 0.2500 0.2500 0.7484 [4 per cell]  4 O 1.74
O: 0.0727 0.1580 0.8413 [8 per cell]  1 V 1.74
O: 0.0738 0.3433 0.6560 [8 per cell]  1 V 1.74
O: 0.1749 0.4066 0.0934 [8 per cell]  1 V 1.74
O: 0.1762 0.0930 0.4070 [8 per cell]  1 V 1.74

---

# 2
First-principles (GGA+U) data for a relaxed structure of ErWO5, as listed in the Materials Project.

## Properties
Energy of formation = -2.62 eV per atom
Corrected total energy (MP2020 scheme) = -0.31835 Ha/atom

Cell lengths 5.2837, 12.6431, 6.9304 Å; angles 90.00, 117.03, 90.00 degrees
With the nearest neighbours (Å) after each atom.
Space group P2_1/c (No. 14)
Unique sites:
Er: 0.1408 0.0555 0.2847 [4 per cell]  8 O 2.28-2.43
W: 0.3924 0.1380 0.8459 [4 per cell]  4 O 1.80-1.91
O: 0.0119 0.0848 0.5583 [4 per cell]  1 W 2.20, 2 O 2.28-2.43, 2 Er 2.32-2.40
O: 0.1957 0.0647 0.9707 [4 per cell]  1 W 1.87
O: 0.2659 0.6471 0.4183 [4 per cell]  1 W 1.81
O: 0.2920 0.2253 0.2904 [4 per cell]  1 W 1.80
O: 0.4854 0.5722 0.8450 [4 per cell]  1 W 1.91

---

# 3
First-principles (GGA+U) data for a relaxed structure of Er2W3O12, as listed in the Materials Project.

## Properties
Energy above the lowest structure with this stoichiometry = 31 meV/atom
Energy of formation = -2.74 eV per atom
Corrected total energy (MP2020 scheme) = -0.33298 Ha/atom

Cell lengths 7.7071, 11.4581, 11.3632 Å; angles 90.00, 109.64, 90.00 degrees
With the nearest neighbours (Å) after each atom.
Space group C2/c (No. 15)
Unique sites:
Er: 0.1652 0.1224 0.0925 [8 per cell]  8 O 2.28-2.45
W: 0.0000 0.1317 0.7500 [4 per cell]  4 O 1.80-1.85
W: 0.1468 0.3927 0.5496 [8 per cell]  4 O 1.78-1.93
O: 0.0486 0.2807 0.4379 [8 per cell]  1 W 1.78
O: 0.0659 0.4618 0.9240 [8 per cell]  2 W 1.93-2.15
O: 0.1304 0.0499 0.4618 [8 per cell]  1 W 1.88
O: 0.1314 0.2099 0.8948 [8 per cell]  1 W 1.85
O: 0.1697 0.0399 0.7196 [8 per cell]  1 W 1.80
O: 0.2269 0.3215 0.7028 [8 per cell]  1 W 1.83

---

# 4
First-principles (GGA+U) data for a relaxed structure of Er2W3O12, as listed in the Materials Project.

## Properties
Energy above the lowest structure with this stoichiometry = 0 meV/atom
Energy of formation = -2.77 eV per atom
Corrected total energy (MP2020 scheme) = -0.33410 Ha/atom

Cell lengths 10.0913, 10.2039, 17.2666 Å; angles 90.00, 125.47, 90.00 degrees
With the nearest neighbours (Å) after each atom.
Space group P2_1/c (No. 14)
Unique sites:
Er: 0.1342 0.0294 0.3818 [4 per cell]  6 O 2.22-2.26
Er: 0.3623 0.0336 0.1181 [4 per cell]  6 O 2.21-2.27
W: 0.0258 0.7487 0.9998 [4 per cell]  4 O 1.81-1.82
W: 0.2528 0.1194 0.8564 [4 per cell]  4 O 1.81-1.82
W: 0.4644 0.6201 0.8571 [4 per cell]  4 O 1.81-1.82
O: 0.0035 0.6556 0.0813 [4 per cell]  1 W 1.82
O: 0.0865 0.0192 0.7633 [4 per cell]  1 W 1.82
O: 0.0884 0.6416 0.9429 [4 per cell]  1 W 1.81
O: 0.1670 0.1753 0.0904 [4 per cell]  1 W 1.82
O: 0.1795 0.6260 0.5662 [4 per cell]  1 W 1.81
O: 0.2016 0.2074 0.3338 [4 per cell]  1 W 1.82
O: 0.2884 0.0778 0.9692 [4 per cell]  1 W 1.81
O: 0.2975 0.6000 0.8683 [4 per cell]  1 W 1.82
O: 0.3470 0.0722 0.5328 [4 per cell]  1 W 1.81
O: 0.4318 0.5171 0.7617 [4 per cell]  1 W 1.82
O: 0.4368 0.0903 0.8630 [4 per cell]  1 W 1.82
O: 0.4754 0.7086 0.3329 [4 per cell]  1 W 1.82

---

What did the second record say?
First-principles (GGA+U) data for a relaxed structure of ErWO5, as listed in the Materials Project.

## Properties
Energy of formation = -2.62 eV per atom
Corrected total energy (MP2020 scheme) = -0.31835 Ha/atom

Cell lengths 5.2837, 12.6431, 6.9304 Å; angles 90.00, 117.03, 90.00 degrees
With the nearest neighbours (Å) after each atom.
Space group P2_1/c (No. 14)
Unique sites:
Er: 0.1408 0.0555 0.2847 [4 per cell]  8 O 2.28-2.43
W: 0.3924 0.1380 0.8459 [4 per cell]  4 O 1.80-1.91
O: 0.0119 0.0848 0.5583 [4 per cell]  1 W 2.20, 2 O 2.28-2.43, 2 Er 2.32-2.40
O: 0.1957 0.0647 0.9707 [4 per cell]  1 W 1.87
O: 0.2659 0.6471 0.4183 [4 per cell]  1 W 1.81
O: 0.2920 0.2253 0.2904 [4 per cell]  1 W 1.80
O: 0.4854 0.5722 0.8450 [4 per cell]  1 W 1.91

---

- Which value of corrected total energy (MP2020 scheme) does entry 4 give?
  -0.33410 Ha/atom

---

- energy of formation of number 3 (Er2W3O12)?
  -2.74 eV per atom